No. 1
Crystalline RuOF4 at its relaxed geometry. Source: the Materials Project, functional PBE-GGA.

abc: 8.8494 6.2670 8.9084
angles: 46.64 90.00 90.00
Fractional positions:
F 0.3884 0.8383 0.6193
F 0.1232 0.5477 0.5884
F 0.1147 0.0188 0.7556
F 0.8792 0.6150 0.0626
F 0.1208 0.3850 0.9374
F 0.8768 0.4523 0.4116
F 0.8884 0.1617 0.8807
F 0.6232 0.4523 0.9116
F 0.6208 0.6150 0.5626
F 0.1116 0.8383 0.1193
F 0.3853 0.0188 0.2556
F 0.3768 0.5477 0.0884
F 0.8853 0.9812 0.2444
F 0.3792 0.3850 0.4374
F 0.6116 0.1617 0.3807
F 0.6147 0.9812 0.7444
O 0.1368 0.1766 0.3607
O 0.3632 0.1766 0.8607
O 0.8632 0.8234 0.6393
O 0.6368 0.8234 0.1393
Ru 0.1778 0.1947 0.8509
Ru 0.3222 0.1947 0.3509
Ru 0.8222 0.8053 0.1491
Ru 0.6778 0.8053 0.6491

- VASP energy (eV/cell) = -120.4
- symmetry = P2_1/c
- distance to the lowest polymorph of the same formula (eV/atom) = 0.000
- ΔH_f (0 K) (meV per atom) = -1794
- total magnetization (Bohr magnetons per cell) = 0.00

No. 2
Crystalline La4Ni12B7 at its relaxed geometry. Source: the Materials Project, functional PBE-GGA.

abc: 5.2607 6.0670 10.4158
angles: 82.85 90.00 115.69
Fractional positions:
Ni 0.6565 0.8357 0.3453
Ni 0.1792 0.8357 0.3453
Ni 0.8688 0.2303 0.1372
Ni 0.5481 0.0961 0.4818
Ni 0.6479 0.8059 0.8365
Ni 0.1580 0.8059 0.8365
Ni 0.7396 0.4792 0.2950
Ni 0.3615 0.2303 0.1372
Ni 0.9647 0.9294 0.0124
Ni 0.8393 0.1526 0.6647
Ni 0.2489 0.4977 0.7344
Ni 0.3133 0.1526 0.6647
B 0.5611 0.1221 0.2881
B 0.3710 0.7420 0.5234
B 0.4363 0.8725 0.6712
B 0.0588 0.1176 0.8260
B 0.9204 0.8409 0.2031
B 0.1467 0.2934 0.9666
B 0.7802 0.5604 0.1086
La 0.6602 0.3204 0.8853
La 0.3647 0.7295 0.0922
La 0.8235 0.6470 0.5883
La 0.1541 0.3082 0.4091

- VASP energy (eV/cell) = -143.4
- symmetry = Cm
- ΔH_f (0 K) (meV per atom) = -329
- total magnetization (Bohr magnetons per cell) = 0.02

No. 3
Crystalline EuGaGe at its relaxed geometry. Source: the Materials Project, functional PBE-GGA.

abc: 4.2982 4.2982 17.8679
angles: 90.00 90.00 120.00
Fractional positions:
Ge 0.6667 0.3333 0.6125
Ge 0.3333 0.6667 0.1125
Ge 0.6667 0.3333 0.8875
Ge 0.3333 0.6667 0.3875
Eu 0.0000 0.0000 0.7500
Eu 0.0000 0.0000 0.2500
Eu 0.0000 0.0000 0.5000
Eu 0.0000 0.0000 0.0000
Ga 0.3333 0.6667 0.8523
Ga 0.6667 0.3333 0.3523
Ga 0.3333 0.6667 0.6477
Ga 0.6667 0.3333 0.1477

- VASP energy (eV/cell) = -79.0
- symmetry = P6_3/mmc
- ΔH_f (0 K) (meV per atom) = -610

No. 4
Crystalline Cu2H13C2S2NO11 at its relaxed geometry. Source: the Materials Project, functional PBE-GGA.

abc: 17.5241 7.0060 12.5982
angles: 56.57 90.00 90.00
Fractional positions:
O 0.9420 0.6792 0.2297
O 0.7764 0.2773 0.9771
O 0.7236 0.2773 0.4771
O 0.3614 0.9122 0.3406
O 0.0820 0.7123 0.5881
O 0.5605 0.1566 0.1558
O 0.4804 0.1554 0.5873
O 0.4395 0.8434 0.8442
O 0.0981 0.0933 0.5904
O 0.3957 0.8756 0.5407
O 0.4523 0.4447 0.8645
O 0.4420 0.3208 0.2703
O 0.6067 0.4648 0.4719
O 0.9835 0.3525 0.2248
O 0.4019 0.0933 0.0904
O 0.1386 0.9122 0.8406
O 0.9180 0.2877 0.4119
O 0.0580 0.3208 0.7703
O 0.4835 0.6475 0.2752
O 0.5981 0.9067 0.9096
O 0.6043 0.1244 0.4593
O 0.9019 0.9067 0.4096
O 0.5820 0.2877 0.9119
O 0.9804 0.8446 0.9127
O 0.4180 0.7123 0.0881
O 0.1067 0.5352 0.0281
O 0.2236 0.7227 0.0229
O 0.0605 0.8434 0.3442
O 0.5580 0.6792 0.7297
O 0.9395 0.1566 0.6558
O 0.5196 0.8446 0.4127
O 0.5477 0.5553 0.1355
O 0.0196 0.1554 0.0873
O 0.0477 0.4447 0.3645
O 0.0165 0.6475 0.7752
O 0.8957 0.1244 0.9593
O 0.5165 0.3525 0.7248
O 0.6386 0.0878 0.6594
O 0.8614 0.0878 0.1594
O 0.2764 0.7227 0.5229
O 0.9523 0.5553 0.6355
O 0.3933 0.5352 0.5281
O 0.1043 0.8756 0.0407
O 0.8933 0.4648 0.9719
H 0.7059 0.9552 0.1195
H 0.0765 0.2220 0.5075
H 0.7668 0.7140 0.0531
H 0.1853 0.5442 0.8292
H 0.7114 0.8625 0.2824
H 0.0737 0.1325 0.1114
H 0.7886 0.8625 0.7824
H 0.4394 0.6949 0.8488
H 0.7941 0.9552 0.6195
H 0.2124 0.5280 0.3294
H 0.2671 0.4891 0.1689
H 0.8147 0.4558 0.1708
H 0.1513 0.2892 0.2627
H 0.5737 0.8675 0.3886
H 0.0658 0.7972 0.4348
H 0.1788 0.2669 0.7754
H 0.2114 0.1375 0.2176
H 0.4235 0.2220 0.0075
H 0.7332 0.7140 0.5531
H 0.2059 0.0448 0.3805
H 0.9263 0.8675 0.8886
H 0.8212 0.7331 0.2246
H 0.7671 0.5109 0.3311
H 0.4035 0.9536 0.0864
H 0.0606 0.6949 0.3488
H 0.3487 0.2892 0.7627
H 0.5606 0.3051 0.1512
H 0.7876 0.4720 0.6706
H 0.2941 0.0448 0.8805
H 0.3212 0.2669 0.2754
H 0.9394 0.3051 0.6512
H 0.6853 0.4558 0.6708
H 0.6513 0.7108 0.2373
H 0.7124 0.4720 0.1706
H 0.2329 0.4891 0.6689
H 0.2332 0.2860 0.9469
H 0.9235 0.7780 0.4925
H 0.4263 0.1325 0.6114
H 0.9035 0.0464 0.4136
H 0.2668 0.2860 0.4469
H 0.2886 0.1375 0.7176
H 0.5765 0.7780 0.9925
H 0.0965 0.9536 0.5864
H 0.9342 0.2028 0.5652
H 0.2876 0.5280 0.8294
H 0.7329 0.5109 0.8311
H 0.3147 0.5442 0.3292
H 0.6788 0.7331 0.7246
H 0.4342 0.7972 0.9348
H 0.5965 0.0464 0.9136
H 0.5658 0.2028 0.0652
H 0.8487 0.7108 0.7373
C 0.7046 0.8061 0.2174
C 0.7342 0.5669 0.6519
C 0.7954 0.8061 0.7174
C 0.2658 0.4331 0.3481
C 0.2046 0.1939 0.2826
C 0.2954 0.1939 0.7826
C 0.7658 0.5669 0.1519
C 0.2342 0.4331 0.8481
Cu 0.4625 0.0018 0.2450
Cu 0.0000 0.0000 0.0000
Cu 0.5375 0.9982 0.7550
Cu 0.0000 0.5000 0.0000
Cu 0.0375 0.0018 0.7450
Cu 0.5000 0.5000 0.5000
Cu 0.9625 0.9982 0.2550
Cu 0.5000 0.0000 0.5000
N 0.7694 0.6517 0.2373
N 0.2694 0.3483 0.2627
N 0.7306 0.6517 0.7373
N 0.2306 0.3483 0.7627
S 0.4728 0.5576 0.1936
S 0.3562 0.7615 0.4829
S 0.5272 0.4424 0.8064
S 0.6438 0.2385 0.5171
S 0.0272 0.5576 0.6936
S 0.8562 0.2385 0.0171
S 0.1438 0.7615 0.9829
S 0.9728 0.4424 0.3064

- VASP energy (eV/cell) = -665.9
- symmetry = P2_1/c
- ΔH_f (0 K) (meV per atom) = -1040
- total magnetization (Bohr magnetons per cell) = 0.00

No. 5
Crystalline Sm2ReC2 at its relaxed geometry. Source: the Materials Project, functional PBE-GGA.

abc: 5.2780 6.6698 10.0662
angles: 90.00 90.00 90.00
Fractional positions:
Sm 0.2500 0.6861 0.5524
Sm 0.7500 0.8139 0.0524
Sm 0.7500 0.4728 0.7851
Sm 0.2500 0.0272 0.2851
Sm 0.2500 0.1861 0.9476
Sm 0.2500 0.5272 0.2149
Sm 0.7500 0.3139 0.4476
Sm 0.7500 0.9728 0.7149
Re 0.7500 0.7725 0.3612
Re 0.2500 0.7275 0.8612
Re 0.2500 0.2275 0.6388
Re 0.7500 0.2725 0.1388
C 0.7500 0.0379 0.2583
C 0.7500 0.1830 0.9572
C 0.7500 0.6830 0.5428
C 0.7500 0.5379 0.2417
C 0.2500 0.4621 0.7583
C 0.2500 0.3170 0.4572
C 0.2500 0.9621 0.7417
C 0.2500 0.8170 0.0428

- VASP energy (eV/cell) = -167.8
- symmetry = Pnma
- ΔH_f (0 K) (meV per atom) = -324

No. 6
Crystalline Y5Ni2Sb at its relaxed geometry. Source: the Materials Project, functional PBE-GGA.

abc: 8.6993 8.6993 8.6993
angles: 127.83 127.83 76.90
Fractional positions:
Ni 0.3725 0.1275 0.5000
Ni 0.8725 0.3725 0.2450
Ni 0.1275 0.6275 0.7550
Ni 0.6275 0.8725 0.5000
Y 0.7956 0.2956 0.8166
Y 0.5210 0.0210 0.8166
Y 0.9790 0.7956 0.5000
Y 0.4790 0.9790 0.1834
Y 0.0000 0.0000 0.0000
Y 0.2956 0.4790 0.5000
Y 0.7044 0.5210 0.5000
Y 0.0210 0.2044 0.5000
Y 0.5000 0.5000 0.0000
Y 0.2044 0.7044 0.1834
Sb 0.2500 0.2500 0.0000
Sb 0.7500 0.7500 0.0000

- VASP energy (eV/cell) = -104.6
- symmetry = I4/mcm
- ΔH_f (0 K) (meV per atom) = -560

No. 7
Crystalline CeAlO2 at its relaxed geometry. Source: the Materials Project, functional PBE-GGA.

abc: 3.8086 3.8086 3.5821
angles: 90.00 90.00 90.00
Fractional positions:
O 0.5000 0.0000 0.0000
O 0.0000 0.5000 0.0000
Ce 0.5000 0.5000 0.5000
Al 0.0000 0.0000 0.0000

- VASP energy (eV/cell) = -29.7
- symmetry = P4/mmm
- ΔH_f (0 K) (meV per atom) = -2879
- total magnetization (Bohr magnetons per cell) = 1.00

No. 8
Crystalline PmLuTl2 at its relaxed geometry. Source: the Materials Project, functional PBE-GGA.

abc: 5.3884 5.3884 5.3884
angles: 60.00 60.00 60.00
Fractional positions:
Tl 0.7500 0.7500 0.7500
Tl 0.2500 0.2500 0.2500
Lu 0.5000 0.5000 0.5000
Pm 0.0000 0.0000 0.0000

- VASP energy (eV/cell) = -15.3
- symmetry = Fm-3m
- ΔH_f (0 K) (meV per atom) = -320

No. 9
Crystalline MgCu4O6 at its relaxed geometry. Source: the Materials Project, functional PBE-GGA.

abc: 5.1109 5.1109 14.6047
angles: 90.00 90.00 146.22
Fractional positions:
Cu 0.5941 0.4059 0.8641
Cu 0.4059 0.5941 0.3641
Cu 0.5941 0.4059 0.6359
Cu 0.8623 0.1377 0.9558
Cu 0.4059 0.5941 0.1359
Cu 0.1377 0.8623 0.0442
Cu 0.1377 0.8623 0.4558
Cu 0.8623 0.1377 0.5442
O 0.7832 0.2168 0.0789
O 0.6968 0.3032 0.7500
O 0.5000 0.5000 0.0000
O 0.3032 0.6968 0.2500
O 0.2168 0.7832 0.5789
O 0.9512 0.0488 0.6593
O 0.2168 0.7832 0.9211
O 0.5000 0.5000 0.5000
O 0.9512 0.0488 0.8407
O 0.0488 0.9512 0.1593
O 0.7832 0.2168 0.4211
O 0.0488 0.9512 0.3407
Mg 0.3410 0.6590 0.7500
Mg 0.6590 0.3410 0.2500

- VASP energy (eV/cell) = -113.4
- symmetry = Cmcm
- ΔH_f (0 K) (meV per atom) = -1196
- total magnetization (Bohr magnetons per cell) = 0.01

No. 10
Crystalline CeFe4Sb12 at its relaxed geometry. Source: the Materials Project, functional PBE-GGA.

abc: 7.9296 7.9296 7.9296
angles: 109.47 109.47 109.47
Fractional positions:
Ce 0.0000 0.0000 0.0000
Fe 0.5000 0.0000 0.0000
Fe 0.0000 0.5000 0.0000
Fe 0.5000 0.5000 0.5000
Fe 0.0000 0.0000 0.5000
Sb 0.1706 0.3337 0.8369
Sb 0.1631 0.8294 0.6663
Sb 0.8369 0.5032 0.6663
Sb 0.6663 0.8369 0.5032
Sb 0.8294 0.6663 0.1631
Sb 0.3337 0.8369 0.1706
Sb 0.5032 0.6663 0.8369
Sb 0.8369 0.1706 0.3337
Sb 0.6663 0.1631 0.8294
Sb 0.4968 0.3337 0.1631
Sb 0.1631 0.4968 0.3337
Sb 0.3337 0.1631 0.4968

- VASP energy (eV/cell) = -92.9
- symmetry = Im-3
- ΔH_f (0 K) (meV per atom) = -346
- total magnetization (Bohr magnetons per cell) = 0.00

No. 11
Crystalline LiAlSiO4 at its relaxed geometry. Source: the Materials Project, functional PBE-GGA.

abc: 5.2972 5.2972 11.4480
angles: 90.00 90.00 120.00
Fractional positions:
Si 0.5000 0.0000 0.5000
Si 0.5000 0.5000 0.8333
Si 0.0000 0.5000 0.1667
Li 0.0000 0.0000 0.8333
Li 0.0000 0.0000 0.5000
Li 0.0000 0.0000 0.1667
O 0.6000 0.7943 0.9111
O 0.2057 0.4000 0.7556
O 0.1943 0.7943 0.0889
O 0.6000 0.8057 0.4222
O 0.4000 0.2057 0.9111
O 0.7943 0.6000 0.7556
O 0.1943 0.4000 0.2444
O 0.4000 0.1943 0.4222
O 0.8057 0.6000 0.2444
O 0.2057 0.8057 0.5778
O 0.8057 0.2057 0.0889
O 0.7943 0.1943 0.5778
Al 0.5000 0.0000 0.0000
Al 0.5000 0.5000 0.3333
Al 0.0000 0.5000 0.6667

- VASP energy (eV/cell) = -151.6
- symmetry = P6_222
- distance to the lowest polymorph of the same formula (eV/atom) = 0.008
- ΔH_f (0 K) (meV per atom) = -3203
- total magnetization (Bohr magnetons per cell) = 0.00

No. 12
Crystalline KAlO2 at its relaxed geometry. Source: the Materials Project, functional PBE-GGA.

abc: 5.4988 11.0373 15.6350
angles: 90.00 90.00 90.00
Fractional positions:
O 0.0692 0.2851 0.4841
O 0.0692 0.2149 0.9841
O 0.3225 0.9036 0.1054
O 0.2007 0.6576 0.1492
O 0.0505 0.4851 0.2778
O 0.6775 0.0964 0.8946
O 0.4308 0.7851 0.4841
O 0.1775 0.4036 0.1054
O 0.1775 0.0964 0.6054
O 0.7007 0.6576 0.3508
O 0.4308 0.7149 0.9841
O 0.2993 0.1576 0.1492
O 0.7993 0.1576 0.3508
O 0.6775 0.4036 0.3946
O 0.7007 0.8424 0.8508
O 0.2007 0.8424 0.6492
O 0.9495 0.5149 0.7222
O 0.7993 0.3424 0.8508
O 0.2993 0.3424 0.6492
O 0.8225 0.5964 0.8946
O 0.4495 0.9851 0.2778
O 0.3225 0.5964 0.6054
O 0.5505 0.4851 0.2222
O 0.9308 0.7851 0.0159
O 0.9308 0.7149 0.5159
O 0.8225 0.9036 0.3946
O 0.5505 0.0149 0.7222
O 0.4495 0.5149 0.7778
O 0.9495 0.9851 0.2222
O 0.5692 0.2149 0.5159
O 0.0505 0.0149 0.7778
O 0.5692 0.2851 0.0159
Al 0.7452 0.9918 0.8115
Al 0.7797 0.2624 0.4365
Al 0.2797 0.2624 0.0635
Al 0.2797 0.2376 0.5635
Al 0.7797 0.2376 0.9365
Al 0.7203 0.7624 0.4365
Al 0.7548 0.4918 0.8115
Al 0.2452 0.9918 0.6885
Al 0.7452 0.5082 0.3115
Al 0.2452 0.5082 0.1885
Al 0.7203 0.7376 0.9365
Al 0.7548 0.0082 0.3115
Al 0.2548 0.0082 0.1885
Al 0.2203 0.7376 0.5635
Al 0.2548 0.4918 0.6885
Al 0.2203 0.7624 0.0635
K 0.2466 0.9926 0.9381
K 0.7466 0.5074 0.0619
K 0.7534 0.4926 0.5619
K 0.2534 0.4926 0.9381
K 0.2466 0.5074 0.4381
K 0.7952 0.2610 0.1853
K 0.2048 0.7610 0.3147
K 0.2952 0.2610 0.3147
K 0.2048 0.7390 0.8147
K 0.2534 0.0074 0.4381
K 0.7048 0.7390 0.6853
K 0.7466 0.9926 0.5619
K 0.7048 0.7610 0.1853
K 0.2952 0.2390 0.8147
K 0.7952 0.2390 0.6853
K 0.7534 0.0074 0.0619

- VASP energy (eV/cell) = -400.6
- symmetry = Pbca
- ΔH_f (0 K) (meV per atom) = -2915

> Which of these has the lowest ΔH_f (0 K)?

LiAlSiO4

> Among the records above, which one has the highest VASP energy?

PmLuTl2

> Which formula does entry 5 have?

Sm2ReC2

> What is the VASP energy in the tenth record?

-92.9 eV/cell